(1)
Density functional theory data (r2SCAN) for a relaxed structure of FeNiP6.

Cell: 6.6808 6.6808 7.7160 Å, 125.16 125.16 70.66°
With the nearest neighbours (Å) after each atom.
Sites, in units of the cell vectors:
1 Fe 0.0000 0.5000 0.0000  6 P 2.19-2.21
2 Fe 0.5000 0.0000 0.0000  6 P 2.19-2.21
3 Ni 0.0000 0.5000 0.5000  6 P 2.24-2.27
4 Ni 0.5000 0.0000 0.5000  6 P 2.24-2.27
5 P 0.1391 0.8495 0.3434  1 Fe 2.19, 2 P 2.24-2.33, 1 Ni 2.27
6 P 0.1505 0.8609 0.6566  1 Fe 2.19, 2 P 2.24-2.33, 1 Ni 2.27
7 P 0.2044 0.5064 0.8606  1 Fe 2.19, 2 P 2.23-2.33, 1 Ni 2.27
8 P 0.3444 0.3444 0.1979  2 Fe 2.21, 2 P 2.24-2.34
9 P 0.3530 0.3530 0.4964  2 P 2.24-2.34, 2 Ni 2.24
10 P 0.4936 0.7956 0.1394  1 Fe 2.19, 2 P 2.23-2.33, 1 Ni 2.27
11 P 0.5064 0.2044 0.8606  1 Fe 2.19, 2 P 2.23-2.33, 1 Ni 2.27
12 P 0.6470 0.6470 0.5036  2 P 2.24-2.34, 2 Ni 2.24
13 P 0.6556 0.6556 0.8021  2 Fe 2.21, 2 P 2.24-2.34
14 P 0.7956 0.4936 0.1394  1 Fe 2.19, 2 P 2.23-2.33, 1 Ni 2.27
15 P 0.8495 0.1391 0.3434  1 Fe 2.19, 2 P 2.24-2.33, 1 Ni 2.27
16 P 0.8609 0.1505 0.6566  1 Fe 2.19, 2 P 2.24-2.33, 1 Ni 2.27

**E**: -166.96 eV per cell
**Energy of formation**: -0.384 eV per atom
**Symmetry**: No. 12
**V**: 14.39 Å³/atom
**Size of the total moment**: 0.000 Bohr magnetons per cell


(2)
Density functional theory data (r2SCAN) for a relaxed structure of YPt.

Cell: 7.0462 4.5137 5.5521 Å, 90.00 90.00 90.00°
With the nearest neighbours (Å) after each atom.
Sites, in units of the cell vectors:
1 Y 0.1820 0.2500 0.1396  7 Pt 2.87-3.02
2 Y 0.3180 0.7500 0.6396  7 Pt 2.87-3.02
3 Y 0.6820 0.2500 0.3604  7 Pt 2.87-3.02
4 Y 0.8180 0.7500 0.8604  7 Pt 2.87-3.02
5 Pt 0.0428 0.2500 0.6529  7 Y 2.87-3.02, 2 Pt 2.89
6 Pt 0.4572 0.7500 0.1529  7 Y 2.87-3.02, 2 Pt 2.89
7 Pt 0.5428 0.2500 0.8471  7 Y 2.87-3.02, 2 Pt 2.89
8 Pt 0.9572 0.7500 0.3471  7 Y 2.87-3.02, 2 Pt 2.89

**E**: -298.14 eV per cell
**Energy of formation**: -1.366 eV per atom
**Symmetry**: No. 62
**V**: 22.07 Å³/atom
**Size of the total moment**: 0.000 Bohr magnetons per cell


(3)
Density functional theory data (r2SCAN) for a relaxed structure of CaAcMg2.

Cell: 8.1195 8.1195 8.1195 Å, 90.00 90.00 90.00°
With the nearest neighbours (Å) after each atom.
Sites, in units of the cell vectors:
1 Ca 0.0000 0.0000 0.0000  8 Mg 3.52
2 Ca 0.0000 0.5000 0.5000  8 Mg 3.52
3 Ca 0.5000 0.0000 0.5000  8 Mg 3.52
4 Ca 0.5000 0.5000 0.0000  8 Mg 3.52
5 Ac 0.0000 0.0000 0.5000  8 Mg 3.52
6 Ac 0.0000 0.5000 0.0000  8 Mg 3.52
7 Ac 0.5000 0.0000 0.0000  8 Mg 3.52
8 Ac 0.5000 0.5000 0.5000  8 Mg 3.52
9 Mg 0.2500 0.2500 0.2500  4 Ac 3.52, 4 Ca 3.52
10 Mg 0.2500 0.2500 0.7500  4 Ac 3.52, 4 Ca 3.52
11 Mg 0.2500 0.7500 0.2500  4 Ac 3.52, 4 Ca 3.52
12 Mg 0.2500 0.7500 0.7500  4 Ac 3.52, 4 Ca 3.52
13 Mg 0.7500 0.2500 0.2500  4 Ac 3.52, 4 Ca 3.52
14 Mg 0.7500 0.2500 0.7500  4 Ac 3.52, 4 Ca 3.52
15 Mg 0.7500 0.7500 0.2500  4 Ac 3.52, 4 Ca 3.52
16 Mg 0.7500 0.7500 0.7500  4 Ac 3.52, 4 Ca 3.52

**E**: -337.51 eV per cell
**Energy of formation**: -0.090 eV per atom
**Symmetry**: No. 225
**V**: 33.46 Å³/atom
**Size of the total moment**: 0.000 Bohr magnetons per cell


(4)
Density functional theory data (r2SCAN) for a relaxed structure of BaGe2S5.

Cell: 10.6716 10.6716 10.6716 Å, 60.00 60.00 60.00°
With the nearest neighbours (Å) after each atom.
Sites, in units of the cell vectors:
1 Ba 0.0000 0.0000 0.0000  6 S 3.28
2 Ba 0.0000 0.0000 0.5000  6 S 3.28
3 Ba 0.0000 0.5000 0.0000  6 S 3.28
4 Ba 0.5000 0.0000 0.0000  6 S 3.28
5 Ge 0.2919 0.2919 0.2919  4 S 2.15-2.23
6 Ge 0.2919 0.2919 0.6244  4 S 2.15-2.23
7 Ge 0.2919 0.6244 0.2919  4 S 2.15-2.23
8 Ge 0.3756 0.7081 0.7081  4 S 2.15-2.23
9 Ge 0.6244 0.2919 0.2919  4 S 2.15-2.23
10 Ge 0.7081 0.3756 0.7081  4 S 2.15-2.23
11 Ge 0.7081 0.7081 0.3756  4 S 2.15-2.23
12 Ge 0.7081 0.7081 0.7081  4 S 2.15-2.23
13 S 0.1287 0.7904 0.7904  1 Ge 2.15
14 S 0.2020 0.2020 0.5480  2 Ge 2.23
15 S 0.2020 0.5480 0.2020  2 Ge 2.23
16 S 0.2020 0.5480 0.5480  2 Ge 2.23
17 S 0.2096 0.2096 0.2096  1 Ge 2.15
18 S 0.2096 0.2096 0.8713  1 Ge 2.15
19 S 0.2096 0.8713 0.2096  1 Ge 2.15
20 S 0.4520 0.4520 0.7980  2 Ge 2.23
21 S 0.4520 0.7980 0.4520  2 Ge 2.23
22 S 0.4520 0.7980 0.7980  2 Ge 2.23
23 S 0.5480 0.2020 0.2020  2 Ge 2.23
24 S 0.5480 0.2020 0.5480  2 Ge 2.23
25 S 0.5480 0.5480 0.2020  2 Ge 2.23
26 S 0.7904 0.1287 0.7904  1 Ge 2.15
27 S 0.7904 0.7904 0.1287  1 Ge 2.15
28 S 0.7904 0.7904 0.7904  1 Ge 2.15
29 S 0.7980 0.4520 0.4520  2 Ge 2.23
30 S 0.7980 0.4520 0.7980  2 Ge 2.23
31 S 0.7980 0.7980 0.4520  2 Ge 2.23
32 S 0.8713 0.2096 0.2096  1 Ge 2.15

**E**: -408.64 eV per cell
**Energy of formation**: -0.968 eV per atom
**Symmetry**: No. 227
**V**: 26.86 Å³/atom
**Size of the total moment**: 0.000 Bohr magnetons per cell


(5)
Density functional theory data (r2SCAN) for a relaxed structure of Pr3Ag4Sn4.

Cell: 8.9517 8.9517 8.9517 Å, 149.60 131.10 58.68°
With the nearest neighbours (Å) after each atom.
Sites, in units of the cell vectors:
1 Pr 0.0000 0.0000 0.0000  6 Sn 3.27-3.37
2 Pr 0.3695 0.8695 0.5000  6 Ag 3.32-3.43, 6 Sn 3.36-3.42
3 Pr 0.6305 0.1305 0.5000  6 Ag 3.32-3.43, 6 Sn 3.36-3.42
4 Ag 0.0237 0.3301 0.6936  4 Sn 2.78-2.89, 1 Ag 2.87
5 Ag 0.3635 0.6699 0.6936  4 Sn 2.78-2.89, 1 Ag 2.87
6 Ag 0.6365 0.3301 0.3064  4 Sn 2.78-2.89, 1 Ag 2.87
7 Ag 0.9763 0.6699 0.3064  4 Sn 2.78-2.89, 1 Ag 2.87
8 Sn 0.2156 0.2156 0.0000  6 Ag 2.84-2.89
9 Sn 0.3065 0.5000 0.8065  2 Ag 2.78, 1 Sn 2.87
10 Sn 0.6935 0.5000 0.1935  2 Ag 2.78, 1 Sn 2.87
11 Sn 0.7844 0.7844 0.0000  6 Ag 2.84-2.89

**E**: -279.38 eV per cell
**Energy of formation**: -0.615 eV per atom
**Symmetry**: No. 71
**V**: 24.68 Å³/atom
**Size of the total moment**: 0.000 Bohr magnetons per cell


(6)
Density functional theory data (r2SCAN) for a relaxed structure of EuZn11.

Cell: 8.1830 8.1830 6.7722 Å, 114.40 114.40 80.25°
With the nearest neighbours (Å) after each atom.
Sites, in units of the cell vectors:
1 Eu 0.2498 0.2498 0.1248  18 Zn 3.25-3.39
2 Eu 0.7502 0.7502 0.8752  18 Zn 3.25-3.39
3 Zn 0.0000 0.0000 0.5000  10 Zn 2.57-2.77
4 Zn 0.0000 0.5000 0.5000  10 Zn 2.57-2.77
5 Zn 0.0781 0.6661 0.3011  9 Zn 2.57-2.86
6 Zn 0.0780 0.8338 0.7769  9 Zn 2.57-2.86
7 Zn 0.1664 0.5779 0.9427  9 Zn 2.57-2.86
8 Zn 0.1662 0.9220 0.2231  9 Zn 2.57-2.86
9 Zn 0.2504 0.2504 0.6250  12 Zn 2.76-2.85
10 Zn 0.3338 0.5779 0.6354  9 Zn 2.57-2.86
11 Zn 0.3339 0.9219 0.6989  9 Zn 2.57-2.86
12 Zn 0.4221 0.6662 0.3646  9 Zn 2.57-2.86
13 Zn 0.4221 0.8336 0.0573  9 Zn 2.57-2.86
14 Zn 0.5000 0.0000 0.5000  10 Zn 2.57-2.77
15 Zn 0.5000 0.5000 0.0000  10 Zn 2.57-2.76
16 Zn 0.5779 0.1664 0.9427  9 Zn 2.57-2.86
17 Zn 0.5779 0.3338 0.6354  9 Zn 2.57-2.86
18 Zn 0.6661 0.0781 0.3011  9 Zn 2.57-2.86
19 Zn 0.6662 0.4221 0.3646  9 Zn 2.57-2.86
20 Zn 0.7496 0.7496 0.3750  12 Zn 2.76-2.85
21 Zn 0.8338 0.0780 0.7769  9 Zn 2.57-2.86
22 Zn 0.8336 0.4221 0.0573  9 Zn 2.57-2.86
23 Zn 0.9220 0.1662 0.2231  9 Zn 2.57-2.86
24 Zn 0.9219 0.3339 0.6989  9 Zn 2.57-2.86

**E**: -278.47 eV per cell
**Energy of formation**: -0.225 eV per atom
**Symmetry**: No. 12
**V**: 15.67 Å³/atom
**Size of the total moment**: 13.968 Bohr magnetons per cell


(7)
Density functional theory data (r2SCAN) for a relaxed structure of CaMgNi4.

Cell: 4.9102 4.9102 4.9102 Å, 60.00 60.00 60.00°
With the nearest neighbours (Å) after each atom.
Sites, in units of the cell vectors:
1 Ca 0.0000 0.0000 0.0000  12 Ni 2.88, 4 Mg 3.01
2 Mg 0.2500 0.2500 0.2500  12 Ni 2.88, 4 Ca 3.01
3 Ni 0.1278 0.6241 0.6241  6 Ni 2.44-2.47
4 Ni 0.6241 0.1278 0.6241  6 Ni 2.44-2.47
5 Ni 0.6241 0.6241 0.1278  6 Ni 2.44-2.47
6 Ni 0.6241 0.6241 0.6241  6 Ni 2.44-2.47

**E**: -59.91 eV per cell
**Energy of formation**: -0.129 eV per atom
**Symmetry**: No. 216
**V**: 13.95 Å³/atom
**Size of the total moment**: 1.344 Bohr magnetons per cell


(8)
Density functional theory data (r2SCAN) for a relaxed structure of Sc2Al.

Cell: 4.8926 4.8926 6.1614 Å, 90.00 90.00 120.00°
With the nearest neighbours (Å) after each atom.
Sites, in units of the cell vectors:
1 Sc 0.0000 0.0000 0.0000  8 Sc 3.08-3.22, 6 Al 3.22
2 Sc 0.0000 0.0000 0.5000  8 Sc 3.08-3.22, 6 Al 3.22
3 Sc 0.3333 0.6667 0.2500  5 Al 2.82-3.08
4 Sc 0.6667 0.3333 0.7500  5 Al 2.82-3.08
5 Al 0.3333 0.6667 0.7500  5 Sc 2.82-3.08
6 Al 0.6667 0.3333 0.2500  5 Sc 2.82-3.08

**E**: -61.26 eV per cell
**Energy of formation**: -0.366 eV per atom
**Symmetry**: No. 194
**V**: 21.29 Å³/atom
**Size of the total moment**: 0.018 Bohr magnetons per cell